1.
The following is a DFT calculation (r²SCAN) of a geometry-optimized Li3Yb structure.

Results
SG: Fm-3m, No. 225
DFT total energy: -42.7 eV per cell
DFT formation energy: 1.0 eV per formula unit

Cell lengths 5.016, 5.016, 5.016 Å; angles 60.00, 60.00, 60.00 degrees
Element x y z (fractional)
Li 0.000 0.000 0.000
Li 0.250 0.250 0.250
Li 0.750 0.750 0.750
Yb 0.500 0.500 0.500


2.
The following is a DFT calculation (r²SCAN) of a geometry-optimized Li3Yb structure.

Results
SG: P6_3/mmc, No. 194
DFT total energy: -85.6 eV per cell
DFT formation energy: 0.9 eV per formula unit

Cell lengths 6.443, 6.443, 5.026 Å; angles 90.00, 90.00, 120.00 degrees
Element x y z (fractional)
Li 0.157 0.314 0.250
Li 0.157 0.843 0.250
Li 0.314 0.157 0.750
Li 0.686 0.843 0.250
Li 0.843 0.157 0.750
Li 0.843 0.686 0.750
Yb 0.333 0.667 0.750
Yb 0.667 0.333 0.250


3.
The following is a DFT calculation (r²SCAN) of a geometry-optimized Li3Zn structure.

Results
SG: Fm-3m, No. 225
DFT total energy: -16.4 eV per cell
DFT formation energy: -0.3 eV per formula unit

Cell lengths 4.486, 4.486, 4.486 Å; angles 60.00, 60.00, 60.00 degrees
Element x y z (fractional)
Li 0.000 0.000 0.000
Li 0.250 0.250 0.250
Li 0.750 0.750 0.750
Zn 0.500 0.500 0.500


4.
The following is a DFT calculation (r²SCAN) of a geometry-optimized Li3Zn structure.

Results
SG: P6_3/mmc, No. 194
DFT total energy: -32.8 eV per cell
DFT formation energy: -0.3 eV per formula unit

Cell lengths 5.696, 5.696, 4.612 Å; angles 90.00, 90.00, 120.00 degrees
Element x y z (fractional)
Li 0.172 0.344 0.250
Li 0.172 0.828 0.250
Li 0.344 0.172 0.750
Li 0.656 0.828 0.250
Li 0.828 0.172 0.750
Li 0.828 0.656 0.750
Zn 0.333 0.667 0.750
Zn 0.667 0.333 0.250